Arrangement a

Entry from the Materials Project database: a relaxed structure of CaTi2S4 (PBE-GGA).

Results
**Volume**: 21.7 Å³/atom

a b c (Å): 10.599 10.784 7.382
angles (deg): 90.00 133.96 90.00
Space group C2/c (No. 15)
Asymmetric unit:
Ca1 0.250 0.250 0.000 (multiplicity 4)
Ti1 0.000 0.000 0.000 (multiplicity 4)
Ti2 0.000 0.375 0.250 (multiplicity 4)
S1 0.000 0.233 0.018 (multiplicity 8)
S2 0.232 0.008 0.482 (multiplicity 8)


Arrangement b

Entry from the Materials Project database: a relaxed structure of CaTi2S4 (PBE-GGA).

Results
**Volume**: 22.1 Å³/atom

a b c (Å): 10.738 10.738 10.738
angles (deg): 90.00 90.00 90.00
Space group Fd-3m (No. 227, origin choice 2)
Asymmetric unit:
Ca1 0.125 0.125 0.125 (multiplicity 8)
Ti1 0.000 0.000 0.500 (multiplicity 16)
S1 0.016 0.016 0.734 (multiplicity 32)


Arrangement c

Entry from the Materials Project database: a relaxed structure of CaTi2S4 (PBE-GGA).

Results
**Volume**: 20.4 Å³/atom

a b c (Å): 14.584 3.546 5.979
angles (deg): 90.00 112.57 90.00
Space group C2/m (No. 12)
Asymmetric unit:
Ca1 0.000 0.000 0.000 (multiplicity 2)
Ti1 0.246 0.500 0.730 (multiplicity 4)
S1 0.140 0.000 0.482 (multiplicity 4)
S2 0.145 0.500 0.987 (multiplicity 4)


Quick ranking, most stable first: arrangement c, arrangement b, arrangement a.


Arrangement a

Entry from the Materials Project database: a relaxed structure of CaTi2S4 (PBE-GGA).

Results
**Volume**: 22.0 Å³/atom

a b c (Å): 7.379 7.379 11.320
angles (deg): 90.00 90.00 90.00
Space group I4_1/amd (No. 141, origin choice 2)
Asymmetric unit:
Ca1 0.000 0.250 0.375 (multiplicity 4)
Ti1 0.000 0.000 0.000 (multiplicity 8)
S1 0.000 0.020 0.776 (multiplicity 16)


Arrangement b

Entry from the Materials Project database: a relaxed structure of CaTi2S4 (PBE-GGA).

Results
**Volume**: 20.1 Å³/atom

a b c (Å): 5.962 3.561 6.944
angles (deg): 90.00 107.27 90.00
Space group P2/m (No. 10)
Asymmetric unit:
Ca1 0.000 0.000 0.000 (multiplicity 1)
Ti1 0.000 0.500 0.500 (multiplicity 1)
Ti2 0.500 0.000 0.500 (multiplicity 1)
S1 0.241 0.000 0.714 (multiplicity 2)
S2 0.264 0.500 0.281 (multiplicity 2)


Quick ranking, most stable first: arrangement b, arrangement a.


Arrangement a

Entry from the Materials Project database: a relaxed structure of SrCa3 (PBE-GGA).

Results
**Volume**: 45.3 Å³/atom

a b c (Å): 7.9729 7.9729 6.5788
angles (deg): 90.00 90.00 120.00
Space group P6_3/mmc (No. 194)
Asymmetric unit:
Sr1 0.3333 0.6667 0.2500 (multiplicity 2)
Ca1 0.1643 0.3285 0.7500 (multiplicity 6)


Arrangement b

Entry from the Materials Project database: a relaxed structure of SrCa3 (PBE-GGA).

Results
**Volume**: 45.0 Å³/atom

a b c (Å): 5.667 5.667 11.208
angles (deg): 90.00 90.00 90.00
Space group I4/mmm (No. 139)
Asymmetric unit:
Sr1 0.000 0.000 0.000 (multiplicity 2)
Ca1 0.000 0.000 0.500 (multiplicity 2)
Ca2 0.000 0.500 0.250 (multiplicity 4)


Quick ranking, most stable first: arrangement b, arrangement a.


Arrangement a

Entry from the Materials Project database: a relaxed structure of SrCa3 (PBE-GGA).

Results
**Volume**: 44.5 Å³/atom

a b c (Å): 5.626 5.626 5.626
angles (deg): 90.00 90.00 90.00
Space group Pm-3m (No. 221)
Asymmetric unit:
Sr1 0.000 0.000 0.000 (multiplicity 1)
Ca1 0.000 0.500 0.500 (multiplicity 3)


Arrangement b

Entry from the Materials Project database: a relaxed structure of SrCa3 (PBE-GGA).

Results
**Volume**: 43.8 Å³/atom

a b c (Å): 8.882 8.882 8.882
angles (deg): 90.00 90.00 90.00
Space group Fm-3m (No. 225)
Asymmetric unit:
Sr1 0.000 0.000 0.000 (multiplicity 4)
Ca1 0.000 0.000 0.500 (multiplicity 4)
Ca2 0.250 0.250 0.250 (multiplicity 8)


Quick ranking, most stable first: arrangement a, arrangement b.


Arrangement a

Entry from the Materials Project database: a relaxed structure of Ca3Y (PBE-GGA).

Results
**Volume**: 38.3 Å³/atom

a b c (Å): 8.491 8.491 8.491
angles (deg): 90.00 90.00 90.00
Space group Fm-3m (No. 225)
Asymmetric unit:
Ca1 0.000 0.000 0.000 (multiplicity 4)
Ca2 0.250 0.250 0.250 (multiplicity 8)
Y1 0.000 0.000 0.500 (multiplicity 4)


Arrangement b

Entry from the Materials Project database: a relaxed structure of Ca3Y (PBE-GGA).

Results
**Volume**: 39.6 Å³/atom

a b c (Å): 5.413 5.413 5.413
angles (deg): 90.00 90.00 90.00
Space group Pm-3m (No. 221)
Asymmetric unit:
Ca1 0.000 0.000 0.500 (multiplicity 3)
Y1 0.500 0.500 0.500 (multiplicity 1)


Quick ranking, most stable first: arrangement a, arrangement b.


Arrangement a

Entry from the Materials Project database: a relaxed structure of Ca3Zn (PBE-GGA).

Results
**Volume**: 32.8 Å³/atom

a b c (Å): 5.080 5.080 5.080
angles (deg): 90.00 90.00 90.00
Space group Pm-3m (No. 221)
Asymmetric unit:
Ca1 0.000 0.000 0.500 (multiplicity 3)
Zn1 0.500 0.500 0.500 (multiplicity 1)


Arrangement b

Entry from the Materials Project database: a relaxed structure of Ca3Zn (PBE-GGA).

Results
**Volume**: 31.7 Å³/atom

a b c (Å): 7.978 7.978 7.978
angles (deg): 90.00 90.00 90.00
Space group Fm-3m (No. 225)
Asymmetric unit:
Ca1 0.000 0.000 0.000 (multiplicity 4)
Ca2 0.250 0.250 0.250 (multiplicity 8)
Zn1 0.000 0.000 0.500 (multiplicity 4)


Quick ranking, most stable first: arrangement a, arrangement b.


Arrangement a

Entry from the Materials Project database: a relaxed structure of Ca3Zn (PBE-GGA).

Results
**Volume**: 32.1 Å³/atom

a b c (Å): 7.2205 7.2205 5.6829
angles (deg): 90.00 90.00 120.00
Space group P6_3/mmc (No. 194)
Asymmetric unit:
Ca1 0.1731 0.3462 0.2500 (multiplicity 6)
Zn1 0.3333 0.6667 0.7500 (multiplicity 2)


Arrangement b

Entry from the Materials Project database: a relaxed structure of Ca3Zn (PBE-GGA).

Results
**Volume**: 33.1 Å³/atom

a b c (Å): 5.018 5.018 10.523
angles (deg): 90.00 90.00 90.00
Space group I4/mmm (No. 139)
Asymmetric unit:
Ca1 0.000 0.000 0.000 (multiplicity 2)
Ca2 0.000 0.500 0.250 (multiplicity 4)
Zn1 0.000 0.000 0.500 (multiplicity 2)


Quick ranking, most stable first: arrangement a, arrangement b.


Arrangement a

Entry from the Materials Project database: a relaxed structure of Cd (PBE-GGA).

Results
**Volume**: 22.7 Å³/atom

a b c (Å): 3.2910 3.2910 9.6680
angles (deg): 90.00 90.00 120.00
Space group P6_3/mmc (No. 194)
Asymmetric unit:
Cd1 0.0000 0.0000 0.0000 (multiplicity 2)
Cd2 0.3333 0.6667 0.2500 (multiplicity 2)


Arrangement b

Entry from the Materials Project database: a relaxed structure of Cd (PBE-GGA).

Results
**Volume**: 22.7 Å³/atom

a b c (Å): 3.569 3.569 3.569
angles (deg): 90.00 90.00 90.00
Space group Im-3m (No. 229)
Asymmetric unit:
Cd1 0.000 0.000 0.000 (multiplicity 2)


Arrangement c

Entry from the Materials Project database: a relaxed structure of Cd (PBE-GGA).

Results
**Volume**: 23.3 Å³/atom

a b c (Å): 4.531 4.531 4.531
angles (deg): 90.00 90.00 90.00
Space group Fm-3m (No. 225)
Asymmetric unit:
Cd1 0.000 0.000 0.000 (multiplicity 4)


Quick ranking, most stable first: arrangement c, arrangement a, arrangement b.


Arrangement a

Entry from the Materials Project database: a relaxed structure of Mg14CdCo (PBE-GGA).

Results
**Volume**: 21.2 Å³/atom

a b c (Å): 6.2849 6.2849 9.9092
angles (deg): 90.00 90.00 120.00
Space group P-6m2 (No. 187)
Asymmetric unit:
Mg1 0.0000 0.0000 0.2479 (multiplicity 2)
Mg2 0.0137 0.5069 0.2605 (multiplicity 6)
Mg3 0.3298 0.1649 0.5000 (multiplicity 3)
Mg4 0.3349 0.1675 0.0000 (multiplicity 3)
Cd1 0.3333 0.6667 0.0000 (multiplicity 1)
Co1 0.3333 0.6667 0.5000 (multiplicity 1)


Arrangement b

Entry from the Materials Project database: a relaxed structure of Mg14CdCo (PBE-GGA).

Results
**Volume**: 21.3 Å³/atom

a b c (Å): 9.889 6.330 10.885
angles (deg): 90.00 90.00 90.00
Space group Amm2 (No. 38)
Asymmetric unit:
Mg1 0.000 0.000 0.000 (multiplicity 2)
Mg2 0.000 0.000 0.498 (multiplicity 2)
Mg3 0.000 0.247 0.252 (multiplicity 4)
Mg4 0.246 0.000 0.668 (multiplicity 4)
Mg5 0.262 0.000 0.161 (multiplicity 4)
Mg6 0.268 0.240 0.921 (multiplicity 8)
Mg7 0.500 0.248 0.747 (multiplicity 4)
Cd1 0.500 0.000 0.503 (multiplicity 2)
Co1 0.500 0.000 0.001 (multiplicity 2)


Quick ranking, most stable first: arrangement a, arrangement b.


Arrangement a

Entry from the Materials Project database: a relaxed structure of CdCo2N2 (PBE-GGA).

Results
**Volume**: 12.2 Å³/atom

a b c (Å): 5.658 2.717 15.836
angles (deg): 90.00 90.00 90.00
Space group Pnma (No. 62)
Asymmetric unit:
Cd1 0.135 0.250 0.228 (multiplicity 4)
Co1 0.137 0.750 0.066 (multiplicity 4)
Co2 0.137 0.750 0.433 (multiplicity 4)
N1 0.138 0.750 0.559 (multiplicity 4)
N2 0.140 0.750 0.938 (multiplicity 4)


Arrangement b

Entry from the Materials Project database: a relaxed structure of CdCo2N2 (PBE-GGA).

Results
**Volume**: 13.5 Å³/atom

a b c (Å): 5.310 3.064 8.517
angles (deg): 90.00 102.98 90.00
Space group C2/m (No. 12)
Asymmetric unit:
Cd1 0.000 0.000 0.000 (multiplicity 2)
Co1 0.129 0.000 0.397 (multiplicity 4)
N1 0.222 0.000 0.652 (multiplicity 4)


Quick ranking, most stable first: arrangement b, arrangement a.


Arrangement a

Entry from the Materials Project database: a relaxed structure of Mg6CdCuO8 (PBE-GGA).

Results
**Volume**: 10.3 Å³/atom

a b c (Å): 4.373 4.373 8.604
angles (deg): 90.00 90.00 90.00
Space group P4/mmm (No. 123)
Asymmetric unit:
Mg1 0.000 0.000 0.000 (multiplicity 1)
Mg2 0.000 0.000 0.500 (multiplicity 1)
Mg3 0.000 0.500 0.242 (multiplicity 4)
Cd1 0.500 0.500 0.500 (multiplicity 1)
Cu1 0.500 0.500 0.000 (multiplicity 1)
O1 0.000 0.000 0.249 (multiplicity 2)
O2 0.000 0.500 0.000 (multiplicity 2)
O3 0.000 0.500 0.500 (multiplicity 2)
O4 0.500 0.500 0.234 (multiplicity 2)


Arrangement b

Entry from the Materials Project database: a relaxed structure of Mg6CdCuO8 (PBE-GGA).

Results
**Volume**: 10.3 Å³/atom

a b c (Å): 4.362 4.362 8.677
angles (deg): 90.00 90.00 90.00
Space group P4/mmm (No. 123)
Asymmetric unit:
Mg1 0.000 0.000 0.000 (multiplicity 1)
Mg2 0.000 0.500 0.247 (multiplicity 4)
Mg3 0.500 0.500 0.000 (multiplicity 1)
Cd1 0.000 0.000 0.500 (multiplicity 1)
Cu1 0.500 0.500 0.500 (multiplicity 1)
O1 0.000 0.000 0.234 (multiplicity 2)
O2 0.000 0.500 0.000 (multiplicity 2)
O3 0.000 0.500 0.500 (multiplicity 2)
O4 0.500 0.500 0.249 (multiplicity 2)


Quick ranking, most stable first: arrangement a, arrangement b.